(1)
DFT (PBE) results for La2SiI2O4 after structural relaxation.

Lattice parameters (Å, degrees): 8.583 8.597 12.285 107.62 99.34 90.09
Space group P-1 (No. 2)
Unique sites:
1 La 0.137 0.284 0.313 (multiplicity 2)
2 La 0.217 0.066 0.623 (multiplicity 2)
3 La 0.277 0.784 0.313 (multiplicity 2)
4 La 0.341 0.567 0.625 (multiplicity 2)
5 Si 0.049 0.699 0.474 (multiplicity 2)
6 Si 0.439 0.200 0.475 (multiplicity 2)
7 I 0.014 0.090 0.850 (multiplicity 2)
8 I 0.155 0.562 0.838 (multiplicity 2)
9 I 0.350 0.411 0.149 (multiplicity 2)
10 I 0.498 0.944 0.165 (multiplicity 2)
11 O 0.057 0.861 0.430 (multiplicity 2)
12 O 0.116 0.754 0.616 (multiplicity 2)
13 O 0.136 0.359 0.538 (multiplicity 2)
14 O 0.168 0.573 0.405 (multiplicity 2)
15 O 0.287 0.074 0.406 (multiplicity 2)
16 O 0.382 0.858 0.537 (multiplicity 2)
17 O 0.411 0.361 0.430 (multiplicity 2)
18 O 0.437 0.256 0.616 (multiplicity 2)

Calculated values
For the theoretical density, the calculation gives 4.9 g/cm3. The raw total energy comes out at -7.023 eV per atom. For the formation energy, the calculation gives -298 kJ per mole of atoms. The distance to the lowest polymorph of the same formula comes out at 16 meV per atom.

***

(2)
DFT (PBE) results for La2SiI2O4 after structural relaxation.

Lattice parameters (Å, degrees): 8.565 8.615 22.672 90.00 92.66 90.00
Space group P2_1/c (No. 14)
Unique sites:
1 La 0.124 0.063 0.345 (multiplicity 4)
2 La 0.241 0.573 0.312 (multiplicity 4)
3 La 0.257 0.194 0.187 (multiplicity 4)
4 La 0.375 0.703 0.155 (multiplicity 4)
5 Si 0.036 0.671 0.737 (multiplicity 4)
6 Si 0.463 0.563 0.763 (multiplicity 4)
7 I 0.136 0.544 0.580 (multiplicity 4)
8 I 0.167 0.049 0.572 (multiplicity 4)
9 I 0.335 0.185 0.928 (multiplicity 4)
10 I 0.360 0.693 0.920 (multiplicity 4)
11 O 0.048 0.704 0.809 (multiplicity 4)
12 O 0.086 0.010 0.230 (multiplicity 4)
13 O 0.132 0.692 0.204 (multiplicity 4)
14 O 0.147 0.192 0.786 (multiplicity 4)
15 O 0.353 0.042 0.715 (multiplicity 4)
16 O 0.367 0.070 0.298 (multiplicity 4)
17 O 0.417 0.746 0.769 (multiplicity 4)
18 O 0.446 0.528 0.691 (multiplicity 4)

Calculated values
For the theoretical density, the calculation gives 5.0 g/cm3. The raw total energy comes out at -7.040 eV per atom. For the formation energy, the calculation gives -300 kJ per mole of atoms. The distance to the lowest polymorph of the same formula comes out at 0 meV per atom.